GGA-PBE Na10La4Si7Sn4S5O48, relaxed; magnetic moment = 0.000 μB per cell; E_form = -2.56 eV per atom; total DFT energy (no corrections) = -6.56 eV per atom
1.0
18.8091 -0.0394 0.3461
-4.7191 8.2059 -0.0038
0.4519 0.2506 23.5147
O Na Si Sn S La
144 30 21 12 15 12
Direct
0.3959 0.7774 0.9115
0.9010 0.7766 0.3082
0.2703 0.8754 0.0780
0.7296 0.1769 0.5314
0.2280 0.3297 0.7419
0.0624 0.6758 0.4761
0.6759 0.8723 0.5811
0.6894 0.8911 0.8579
0.4849 0.7910 0.4121
0.4935 0.1903 0.9144
0.2536 0.1566 0.9200
0.9294 0.3475 0.2478
0.1679 0.4737 0.0827
0.5927 0.4886 0.2526
0.6047 0.2054 0.7979
0.7596 0.1496 0.9203
0.0874 0.1944 0.4161
0.3998 0.7758 0.3085
0.1591 0.8547 0.5821
0.0934 0.9623 0.1994
0.4302 0.5110 0.7483
0.2318 0.1611 0.5297
0.7755 0.6702 0.9685
0.1529 0.4772 0.7511
0.1823 0.8912 0.8551
0.4931 0.2169 0.3139
0.0632 0.6776 0.0797
0.5895 0.0414 0.5917
0.2586 0.3678 0.4202
0.7595 0.6721 0.5798
0.7565 0.6994 0.2566
0.7265 0.3288 0.7427
0.8968 0.9734 0.6925
0.4239 0.3844 0.9251
0.5646 0.4481 0.5799
0.0867 0.0317 0.5910
0.7775 0.8851 0.4701
0.7604 0.8866 0.3671
0.3524 0.1444 0.0303
0.5574 0.6256 0.3570
0.9929 0.1873 0.9113
0.7318 0.2989 0.0318
0.4215 0.8069 0.5825
0.5199 0.2102 0.1996
0.0912 0.0016 0.9149
0.3972 0.9631 0.6892
0.4293 0.3479 0.2478
0.8966 0.7923 0.9112
0.9238 0.8195 0.5879
0.0622 0.4571 0.5757
0.2307 0.1213 0.2407
0.8516 0.1397 0.0278
0.0207 0.2122 0.1992
0.8196 0.5159 0.6335
0.9238 0.4666 0.4231
0.1141 0.2270 0.8046
0.8327 0.5276 0.2429
0.6858 0.4909 0.3618
0.5879 0.9797 0.9161
0.1138 0.0101 0.3010
0.0629 0.6290 0.3605
0.9816 0.1579 0.5839
0.6455 0.4660 0.7511
0.7583 0.3665 0.4183
0.5863 0.1936 0.4157
0.9414 0.5596 0.1354
0.2742 0.6671 0.9685
0.6620 0.4527 0.4775
0.5583 0.4934 0.8568
0.4943 0.7771 0.8126
0.4217 0.4655 0.4246
0.8223 0.1268 0.7464
0.8324 0.1166 0.1319
0.0923 0.4892 0.2525
0.5944 0.2246 0.6951
0.0920 0.2186 0.7018
0.4110 0.0381 0.7996
0.3512 0.5625 0.5270
0.9819 0.8133 0.0842
0.9940 0.2161 0.3136
0.3215 0.1445 0.4183
0.9305 0.2986 0.5278
0.3320 0.5267 0.2433
0.2628 0.8930 0.3649
0.1477 0.8232 0.2523
0.6647 0.8560 0.9710
0.0861 0.1402 0.0892
0.5679 0.4634 0.9700
0.0954 0.7034 0.7508
0.5858 0.1406 0.0900
0.4409 0.3255 0.6341
0.8208 0.1421 0.4188
0.0614 0.5031 0.8609
0.4335 0.3053 0.5303
0.2611 0.6328 0.8656
0.4196 0.0314 0.0839
0.9200 0.0313 0.0831
0.3104 0.4843 0.9189
0.5637 0.6801 0.0802
0.7635 0.6319 0.8656
0.3316 0.1131 0.1342
0.9027 0.8363 0.1946
0.7707 0.8739 0.0781
0.5925 0.6954 0.7526
0.6676 0.4733 0.0856
0.2280 0.1171 0.6452
0.6479 0.8226 0.2524
0.5651 0.6818 0.4699
0.7310 0.1202 0.2406
0.8921 0.0078 0.8100
0.6145 0.0097 0.3013
0.3330 0.5470 0.6312
0.9270 0.5187 0.7513
0.5933 0.9614 0.1997
0.4318 0.5614 0.0326
0.4423 0.5602 0.1364
0.7543 0.8038 0.7552
0.9997 0.7804 0.8127
0.4846 0.1545 0.5833
0.4814 0.8134 0.0851
0.3963 0.9993 0.4096
0.2580 0.8132 0.7569
0.8551 0.5621 0.5220
0.4026 0.8359 0.1949
0.0756 0.4467 0.9695
0.1889 0.4864 0.3575
0.2718 0.6689 0.5781
0.7301 0.1213 0.6458
0.9898 0.7939 0.4132
0.1547 0.8500 0.9686
0.0190 0.8207 0.6961
0.2304 0.2987 0.0278
0.2564 0.7004 0.2560
0.5212 0.8243 0.6976
0.7227 0.3244 0.1481
0.8218 0.4987 0.9201
0.2770 0.8849 0.4676
0.2243 0.3256 0.1454
0.9251 0.3789 0.9278
0.9322 0.5618 0.0314
0.9398 0.3355 0.6304
0.8950 0.9951 0.4100
0.3303 0.1355 0.7422
0.1625 0.4695 0.4703
0.3367 0.3314 0.3326
0.8447 0.3391 0.8299
0.8366 0.3307 0.3352
0.1838 0.3751 0.2411
0.3456 0.6595 0.4066
0.0157 0.7075 0.5786
0.6841 0.3761 0.2405
0.5165 0.9943 0.4993
0.8476 0.0341 0.9074
0.1750 0.6527 0.1664
0.1843 0.9943 0.7446
0.1593 0.2921 0.9236
0.3410 0.3275 0.8362
0.6597 0.3425 0.5806
0.1744 0.6819 0.6741
0.4942 0.3551 0.7597
0.6819 0.9939 0.7440
0.0215 0.0105 0.5013
0.0126 0.0160 0.0040
0.6752 0.6857 0.6701
0.5180 0.0391 0.9992
0.9943 0.6770 0.9121
0.4934 0.6777 0.9132
0.9896 0.3068 0.4127
0.4949 0.6300 0.2549
0.8482 0.6623 0.4109
0.9941 0.6298 0.2553
0.6749 0.6524 0.1662
0.8271 0.9589 0.5918
0.4917 0.3088 0.4120
0.0127 0.6512 0.4194
0.1697 0.9699 0.9162
0.6705 0.9677 0.9184
0.5032 0.3071 0.2537
0.0050 0.6994 0.7536
0.1699 0.3714 0.4174
0.6784 0.3150 0.0896
0.8494 0.7141 0.2513
0.1788 0.3156 0.0875
0.5107 0.6520 0.4166
0.0151 0.3758 0.9180
0.8365 0.6396 0.5821
0.3491 0.7137 0.2512
0.8445 0.9824 0.7523
0.5036 0.6994 0.7543
0.6695 0.3697 0.4197
0.5131 0.3751 0.9175
0.0033 0.3069 0.2537
0.1793 0.0428 0.5886
0.3493 0.9848 0.7488
0.6823 0.0476 0.5887
0.3225 0.3296 0.4803
0.9938 0.9722 0.6517
0.8245 0.3493 0.4824
0.6617 0.6418 0.3159
0.1621 0.6405 0.3155
0.1603 0.6834 0.8152
0.8216 0.3158 0.9801
0.4968 0.9729 0.6528
0.9971 0.0189 0.1502
0.4970 0.0172 0.1502
0.6617 0.6841 0.8162
0.3246 0.3065 0.9807
0.3414 0.0393 0.0821
0.1466 0.9804 0.2474
0.6436 0.3062 0.7468
0.3095 0.6443 0.9158
0.6469 0.9798 0.2475
0.9794 0.6525 0.0819
0.3123 0.9766 0.4143
0.8414 0.0390 0.0807
0.9790 0.3131 0.5791
0.3428 0.6439 0.5806
0.4796 0.6534 0.0825
0.8112 0.9749 0.4159
0.8118 0.6482 0.9160
0.1455 0.3131 0.7489
0.4792 0.3071 0.5814
0.4963 0.0030 0.8539
0.0027 0.0009 0.3499
0.3351 0.3368 0.1816
0.5033 0.0029 0.3486
0.3344 0.3345 0.6842
0.8389 0.3433 0.6873
0.1671 0.6744 0.5186
0.1620 0.6567 0.0200
0.9986 0.0006 0.8459
0.6606 0.6498 0.0213
0.8349 0.3359 0.1818
0.6596 0.6716 0.5183